# 1
First-principles (r²SCAN) data for an optimized crystal structure of Rb2In3F11, as listed in Materials Project.

Cell and atoms, written as POSCAR:
```
Rb2In3F11
1.0
8.103 0.000 0.000
0.000 6.663 -0.084
0.000 0.091 18.890
Rb In F
8 12 44
direct
0.250 0.231 0.841
0.750 0.769 0.159
0.750 0.273 0.851
0.250 0.727 0.149
0.250 0.227 0.649
0.750 0.773 0.351
0.750 0.269 0.659
0.250 0.731 0.341
0.497 0.749 0.967
0.997 0.251 0.033
0.503 0.251 0.033
0.003 0.749 0.967
0.000 0.750 0.750
0.500 0.250 0.250
0.000 0.250 0.250
0.500 0.750 0.750
0.997 0.751 0.533
0.497 0.249 0.467
0.003 0.249 0.467
0.503 0.751 0.533
0.528 0.062 0.561
0.028 0.938 0.439
0.472 0.938 0.439
0.972 0.062 0.561
0.524 0.441 0.561
0.024 0.559 0.439
0.476 0.559 0.439
0.976 0.441 0.561
0.545 0.050 0.757
0.045 0.950 0.243
0.455 0.950 0.243
0.955 0.050 0.757
0.455 0.451 0.743
0.955 0.549 0.257
0.545 0.549 0.257
0.473 0.438 0.939
0.045 0.451 0.743
0.977 0.941 0.061
0.523 0.941 0.061
0.023 0.059 0.939
0.250 0.750 0.998
0.750 0.250 0.002
0.750 0.744 0.947
0.250 0.256 0.053
0.250 0.831 0.726
0.750 0.169 0.274
0.750 0.670 0.774
0.250 0.330 0.226
0.250 0.756 0.553
0.750 0.244 0.447
0.750 0.749 0.502
0.250 0.251 0.498
0.061 0.747 0.858
0.561 0.253 0.142
0.939 0.253 0.142
0.439 0.747 0.858
0.940 0.753 0.642
0.440 0.247 0.358
0.060 0.247 0.358
0.560 0.753 0.642
0.027 0.438 0.939
0.527 0.562 0.061
0.973 0.562 0.061
0.477 0.059 0.939
```

## Properties
energy of formation: -2.882 eV/atom
electronic total energy: -704.38 eV for the cell shown
symmetry: P2_1/m, No. 11

---

# 2
First-principles (r²SCAN) data for an optimized crystal structure of RbIn3F10, as listed in Materials Project.

Cell and atoms, written as POSCAR:
```
RbIn3F10
1.0
-3.704 -5.446 0.413
1.103 -0.163 7.747
-6.547 4.531 1.027
Rb In F
2 6 20
direct
0.015 0.500 0.250
0.985 0.500 0.750
0.500 0.271 0.500
0.500 0.729 0.000
0.000 0.000 0.500
0.000 0.000 0.000
0.500 0.271 0.000
0.500 0.729 0.500
0.194 0.199 0.938
0.194 0.801 0.562
0.806 0.199 0.062
0.806 0.801 0.438
0.194 0.199 0.562
0.194 0.801 0.938
0.806 0.199 0.438
0.806 0.801 0.062
0.500 0.000 0.000
0.500 0.000 0.500
0.098 0.000 0.250
0.902 0.000 0.750
0.683 0.500 0.025
0.683 0.500 0.475
0.317 0.500 0.975
0.317 0.500 0.525
0.414 0.717 0.250
0.414 0.283 0.250
0.586 0.717 0.750
0.586 0.283 0.750
```

## Properties
energy of formation: -2.843 eV/atom
electronic total energy: -305.45 eV for the cell shown
symmetry: Pmma, No. 51

---

# 3
First-principles (r²SCAN) data for an optimized crystal structure of Sr2InF7, as listed in Materials Project.

Cell and atoms, written as POSCAR:
```
Sr2InF7
1.0
12.303 0.000 0.000
0.000 5.457 0.003
0.000 0.090 8.303
Sr In F
8 4 28
direct
0.279 0.763 0.446
0.779 0.237 0.054
0.721 0.237 0.554
0.221 0.763 0.946
0.062 0.236 0.675
0.562 0.764 0.825
0.938 0.764 0.325
0.438 0.236 0.175
0.375 0.279 0.713
0.875 0.721 0.787
0.625 0.721 0.287
0.125 0.279 0.213
0.858 0.793 0.035
0.358 0.207 0.465
0.142 0.207 0.965
0.642 0.793 0.535
0.573 0.367 0.375
0.073 0.633 0.125
0.427 0.633 0.625
0.927 0.367 0.875
0.229 0.494 0.702
0.729 0.506 0.798
0.771 0.506 0.298
0.271 0.494 0.202
0.396 0.494 0.926
0.896 0.506 0.574
0.604 0.506 0.074
0.104 0.494 0.426
0.245 0.011 0.694
0.745 0.989 0.806
0.755 0.989 0.306
0.255 0.011 0.194
0.396 0.013 0.910
0.896 0.987 0.590
0.604 0.987 0.090
0.104 0.013 0.410
0.043 0.798 0.787
0.543 0.202 0.713
0.957 0.202 0.213
0.457 0.798 0.287
```

## Properties
energy of formation: -3.670 eV/atom
electronic total energy: -445.81 eV for the cell shown
symmetry: P2_1/c, No. 14

---

# 4
First-principles (r²SCAN) data for an optimized crystal structure of IrF4, as listed in Materials Project.

Cell and atoms, written as POSCAR:
```
IrF4
1.0
-4.388 -3.141 -0.430
4.682 -2.074 -1.756
0.715 0.797 5.529
Ir F
2 8
direct
0.744 0.244 0.500
0.994 0.994 0.000
0.977 0.728 0.161
0.567 0.817 0.839
0.045 0.294 0.338
0.956 0.707 0.662
0.044 0.295 0.838
0.457 0.206 0.162
0.567 0.818 0.339
0.478 0.227 0.661
```

## Properties
energy of formation: -1.507 eV/atom
electronic total energy: -144.80 eV for the cell shown
symmetry: Fdd2, No. 43

---

# 5
First-principles (r²SCAN) data for an optimized crystal structure of LiIrF6, as listed in Materials Project.

Cell and atoms, written as POSCAR:
```
LiIrF6
1.0
4.404 0.022 3.025
1.606 4.102 3.023
0.033 0.024 5.342
Li Ir F
1 1 6
direct
0.500 0.500 0.500
0.000 0.000 0.000
0.620 0.243 0.892
0.243 0.892 0.620
0.108 0.380 0.757
0.892 0.620 0.243
0.757 0.108 0.380
0.380 0.757 0.108
```

## Properties
energy of formation: -2.025 eV/atom
electronic total energy: -89.70 eV for the cell shown
symmetry: R-3, No. 148

---

# 6
First-principles (r²SCAN) data for an optimized crystal structure of Rb2TlIrF6, as listed in Materials Project.

Cell and atoms, written as POSCAR:
```
Rb2TlIrF6
1.0
0.000 4.581 4.581
4.581 0.000 4.581
4.581 4.581 0.000
Rb Tl Ir F
2 1 1 6
direct
0.750 0.750 0.750
0.250 0.250 0.250
0.500 0.500 0.500
0.000 0.000 0.000
0.779 0.221 0.221
0.221 0.221 0.779
0.221 0.779 0.779
0.221 0.779 0.221
0.779 0.221 0.779
0.779 0.779 0.221
```

## Properties
energy of formation: -2.228 eV/atom
electronic total energy: -174.44 eV for the cell shown
symmetry: Fm-3m, No. 225

---

# 7
First-principles (r²SCAN) data for an optimized crystal structure of KF, as listed in Materials Project.

Cell and atoms, written as POSCAR:
```
KF
1.0
-1.573 -3.274 -0.946
0.343 -2.972 2.268
-2.981 -1.267 1.897
K F
1 1
direct
0.000 0.000 0.000
0.500 0.500 0.500
```

## Properties
energy of formation: -2.916 eV/atom
electronic total energy: -14.98 eV for the cell shown
symmetry: Fm-3m, No. 225

---

# 8
First-principles (r²SCAN) data for an optimized crystal structure of KLaF4, as listed in Materials Project.

Cell and atoms, written as POSCAR:
```
KLaF4
1.0
-2.469 1.691 2.400
-3.398 -5.295 0.235
8.458 -4.890 12.147
K La F
4 4 16
direct
0.250 0.723 0.702
0.750 0.277 0.298
0.750 0.777 0.202
0.250 0.223 0.798
0.250 0.251 0.063
0.750 0.749 0.937
0.750 0.249 0.563
0.250 0.751 0.437
0.250 0.602 0.863
0.750 0.398 0.137
0.750 0.898 0.363
0.250 0.102 0.637
0.250 0.639 0.037
0.750 0.361 0.963
0.750 0.861 0.537
0.250 0.139 0.463
0.250 0.505 0.560
0.750 0.495 0.440
0.750 0.995 0.060
0.250 0.005 0.940
0.250 0.586 0.303
0.750 0.414 0.697
0.750 0.914 0.803
0.250 0.086 0.197
```

## Properties
energy of formation: -4.021 eV/atom
electronic total energy: -289.57 eV for the cell shown
symmetry: Pnma, No. 62